# LiCo3NiO8 (PBE with a Hubbard U, optimized geometry)
# - VASP energy: -5.506 eV per atom
# - Total magnetic moment: 3.0 μB per formula unit
# - Calculated density: 4.359 Mg/m³
# - E_form: -1225.1 meV per atom
data_LiCo3NiO8
_chemical_formula_sum 'Li2 Co6 Ni2 O16'
_cell_length_a 5.6854
_cell_length_b 6.0135
_cell_length_c 9.8702
_cell_angle_alpha 73.67
_cell_angle_beta 89.64
_cell_angle_gamma 61.82
_symmetry_space_group_name_H-M 'P 1'
_symmetry_Int_Tables_number 1
_symmetry_space_group_name_Hall 'P 1'
loop_
_atom_site_label
_atom_site_fract_x
_atom_site_fract_y
_atom_site_fract_z
Li1 0.0000 0.0000 0.0000
Li2 0.4900 0.0062 0.4960
Co1 0.0027 0.5062 0.4976
Co2 0.2447 0.5022 0.2481
Co3 0.4873 0.4994 0.9983
Co4 0.4992 0.5131 0.4966
Co5 0.7452 0.5033 0.7478
Co6 0.9908 0.4922 0.9994
Ni1 0.2451 0.5033 0.7479
Ni2 0.7449 0.5018 0.2482
O1 0.0719 0.2954 0.8734
O2 0.1169 0.3047 0.3725
O3 0.1414 0.6888 0.8880
O4 0.1525 0.6977 0.3816
O5 0.3373 0.3072 0.1142
O6 0.3488 0.3174 0.6080
O7 0.3726 0.6997 0.1240
O8 0.4187 0.7109 0.6221
O9 0.5843 0.3170 0.3654
O10 0.5911 0.3122 0.8620
O11 0.6460 0.6872 0.8847
O12 0.6569 0.6995 0.3859
O13 0.8329 0.3050 0.1098
O14 0.8446 0.3188 0.6113
O15 0.8992 0.6945 0.6334
O16 0.9049 0.6872 0.1311

---

# Li2Co3NiO8 (PBE with a Hubbard U, optimized geometry)
# - VASP energy: -5.481 eV per atom
# - Total magnetic moment: 5.9 μB per formula unit
# - Calculated density: 4.782 Mg/m³
# - E_form: -1370.4 meV per atom
data_Li2Co3NiO8
_chemical_formula_sum 'Li6 Co9 Ni3 O24'
_cell_length_a 5.6917
_cell_length_b 5.6917
_cell_length_c 14.0133
_cell_angle_alpha 90.00
_cell_angle_beta 90.00
_cell_angle_gamma 120.00
_symmetry_space_group_name_H-M 'R 3 m'
_symmetry_Int_Tables_number 160
_symmetry_space_group_name_Hall 'R 3 -2"'
loop_
_atom_site_label
_atom_site_fract_x
_atom_site_fract_y
_atom_site_fract_z
Li1 0.0000 0.0000 0.0000
Li2 0.0000 0.0000 0.3743
Co1 0.0075 0.5037 0.8791
Ni1 0.0000 0.0000 0.7575
O1 0.0000 0.0000 0.1402
O2 0.0000 0.0000 0.6189
O3 0.0252 0.5126 0.1349
O4 0.1769 0.3538 0.9445

---

# Li3CoNi3O8 (PBE with a Hubbard U, optimized geometry)
# - VASP energy: -4.890 eV per atom
# - Total magnetic moment: 8.0 μB per formula unit
# - Calculated density: 4.961 Mg/m³
# - E_form: -1222.9 meV per atom
data_Li3CoNi3O8
_chemical_formula_sum 'Li12 Co4 Ni12 O32'
_cell_length_a 5.6831
_cell_length_b 9.8442
_cell_length_c 9.1863
_cell_angle_alpha 90.00
_cell_angle_beta 90.09
_cell_angle_gamma 90.00
_symmetry_space_group_name_H-M 'C 1 c 1'
_symmetry_Int_Tables_number 9
_symmetry_space_group_name_Hall 'C -2yc'
loop_
_atom_site_label
_atom_site_fract_x
_atom_site_fract_y
_atom_site_fract_z
Li1 0.0000 0.0842 0.0000
Li2 0.2474 0.3311 0.0002
Li3 0.4936 0.0848 0.0002
Co1 0.2470 0.1668 0.4556
Ni1 0.0021 0.0851 0.7330
Ni2 0.2472 0.3302 0.7330
Ni3 0.4924 0.0851 0.7330
O1 0.0013 0.4180 0.8569
O2 0.0244 0.2410 0.5984
O3 0.2457 0.5001 0.1337
O4 0.2469 0.0184 0.5979
O5 0.2473 0.3363 0.3565
O6 0.2488 0.1670 0.8416
O7 0.4697 0.2413 0.5974
O8 0.4925 0.4182 0.8563

---

# Li3Co3NiO8 (PBE with a Hubbard U, optimized geometry)
# - VASP energy: -5.476 eV per atom
# - Total magnetic moment: 2.0 μB per formula unit
# - Calculated density: 4.501 Mg/m³
# - E_form: -1511.8 meV per atom
data_Li3Co3NiO8
_chemical_formula_sum 'Li6 Co6 Ni2 O16'
_cell_length_a 9.9441
_cell_length_b 5.8575
_cell_length_c 5.8983
_cell_angle_alpha 90.00
_cell_angle_beta 124.37
_cell_angle_gamma 90.00
_symmetry_space_group_name_H-M 'C 1 2/m 1'
_symmetry_Int_Tables_number 12
_symmetry_space_group_name_Hall '-C 2y'
loop_
_atom_site_label
_atom_site_fract_x
_atom_site_fract_y
_atom_site_fract_z
Li1 0.0000 0.0000 0.0000
Li2 0.2500 0.2500 0.0000
Co1 0.0000 0.0000 0.5000
Co2 0.2500 0.2500 0.5000
Ni1 0.0000 0.5000 0.5000
O1 0.0120 0.2303 0.2879
O2 0.2301 0.0000 0.7196
O3 0.2477 0.5000 0.7274